1.
{"formula": "Na18Ca4Nb20Si27S9O144", "functional": "GGA-PBE", "state": "relaxed", "corrected_energy_ev_per_fu": -1760.4, "delta_e_f_ev_per_atom": -2.84, "cell": [[-1.5836, -15.3486, 9.4069], [3.6371, -0.1148, -8.2727], [20.7259, 3.5143, 9.1051]], "species": ["Na", "Na", "Na", "Na", "Na", "Na", "Na", "Na", "Na", "Na", "Na", "Na", "Na", "Na", "Na", "Na", "Na", "Na", "Ca", "Ca", "Ca", "Ca", "Nb", "Nb", "Nb", "Nb", "Nb", "Nb", "Nb", "Nb", "Nb", "Nb", "Nb", "Nb", "Nb", "Nb", "Nb", "Nb", "Nb", "Nb", "Nb", "Nb", "Si", "Si", "Si", "Si", "Si", "Si", "Si", "Si", "Si", "Si", "Si", "Si", "Si", "Si", "Si", "Si", "Si", "Si", "Si", "Si", "Si", "Si", "Si", "Si", "Si", "Si", "Si", "S", "S", "S", "S", "S", "S", "S", "S", "S", "O", "O", "O", "O", "O", "O", "O", "O", "O", "O", "O", "O", "O", "O", "O", "O", "O", "O", "O", "O", "O", "O", "O", "O", "O", "O", "O", "O", "O", "O", "O", "O", "O", "O", "O", "O", "O", "O", "O", "O", "O", "O", "O", "O", "O", "O", "O", "O", "O", "O", "O", "O", "O", "O", "O", "O", "O", "O", "O", "O", "O", "O", "O", "O", "O", "O", "O", "O", "O", "O", "O", "O", "O", "O", "O", "O", "O", "O", "O", "O", "O", "O", "O", "O", "O", "O", "O", "O", "O", "O", "O", "O", "O", "O", "O", "O", "O", "O", "O", "O", "O", "O", "O", "O", "O", "O", "O", "O", "O", "O", "O", "O", "O", "O", "O", "O", "O", "O", "O", "O", "O", "O", "O", "O", "O", "O", "O", "O", "O", "O", "O", "O", "O", "O", "O", "O", "O", "O", "O", "O", "O", "O", "O", "O"], "fractional_positions": [[0.3138, 0.0148, 0.2405], [0.8147, 0.0140, 0.2529], [0.9944, 0.6159, 0.2405], [0.3156, 0.6149, 0.7553], [0.8140, 0.6123, 0.7447], [0.4936, 0.3730, 0.7424], [0.9938, 0.9959, 0.4949], [0.5010, 0.0015, 0.4997], [0.0008, 0.0015, 0.0022], [0.4927, 0.9871, 0.9976], [0.3235, 0.3163, 0.8283], [0.8327, 0.3301, 0.8256], [0.3349, 0.3388, 0.3220], [0.8249, 0.3305, 0.3222], [0.1650, 0.6649, 0.1577], [0.6495, 0.6469, 0.1692], [0.1605, 0.6662, 0.6751], [0.6616, 0.6613, 0.6608], [0.3316, 0.3261, 0.6870], [0.8329, 0.3366, 0.6853], [0.3375, 0.3352, 0.1840], [0.8314, 0.3363, 0.1859], [0.9989, 0.0020, 0.3577], [0.5065, 0.0108, 0.3589], [0.0073, 0.0018, 0.8608], [0.4989, 0.9955, 0.8585], [0.0025, 0.9902, 0.6478], [0.5016, 0.0160, 0.6511], [0.0022, 0.9891, 0.1505], [0.5034, 0.0065, 0.1425], [0.3414, 0.3395, 0.9787], [0.8406, 0.3512, 0.9746], [0.3414, 0.3326, 0.4741], [0.8334, 0.3441, 0.4752], [0.1674, 0.6749, 0.0166], [0.6638, 0.6700, 0.0148], [0.1675, 0.6652, 0.5132], [0.6669, 0.6592, 0.5167], [0.1621, 0.6581, 0.3141], [0.6638, 0.6640, 0.3101], [0.1648, 0.6657, 0.8129], [0.6616, 0.6652, 0.8153], [0.1448, 0.9984, 0.2565], [0.6394, 0.9901, 0.2511], [0.8531, 0.7146, 0.2539], [0.0062, 0.2870, 0.2503], [0.5027, 0.2879, 0.2522], [0.1395, 0.2910, 0.7520], [0.6447, 0.2922, 0.7568], [0.0032, 0.7116, 0.7551], [0.5070, 0.7258, 0.7498], [0.3529, 0.9922, 0.7546], [0.4827, 0.3317, 0.5860], [0.8335, 0.6338, 0.5855], [0.4844, 0.6318, 0.0847], [0.9830, 0.6332, 0.0861], [0.3319, 0.0359, 0.0858], [0.3091, 0.6594, 0.9154], [0.8109, 0.6714, 0.9150], [0.0248, 0.3803, 0.9166], [0.5207, 0.3720, 0.9164], [0.1730, 0.9619, 0.9158], [0.6694, 0.9646, 0.9163], [0.3120, 0.9537, 0.4135], [0.8092, 0.9558, 0.4155], [0.1689, 0.3739, 0.4165], [0.6689, 0.3841, 0.4142], [0.0210, 0.6686, 0.4162], [0.5261, 0.6716, 0.4163], [0.3567, 0.7227, 0.2520], [0.8574, 0.9911, 0.7516], [0.9853, 0.3358, 0.5808], [0.1831, 0.0310, 0.5806], [0.6842, 0.0364, 0.5808], [0.3322, 0.6313, 0.5814], [0.8342, 0.0348, 0.0813], [0.1829, 0.3315, 0.0815], [0.6854, 0.3376, 0.0800], [0.0887, 0.9971, 0.3120], [0.5863, 0.9969, 0.3087], [0.4058, 0.8086, 0.3055], [0.9111, 0.8236, 0.3103], [0.4978, 0.1684, 0.3088], [0.0012, 0.1765, 0.3083], [0.0851, 0.1718, 0.8076], [0.5893, 0.1808, 0.8117], [0.5015, 0.8269, 0.8073], [0.9944, 0.8218, 0.8085], [0.4117, 0.9997, 0.8098], [0.9059, 0.0048, 0.8046], [0.4048, 0.9762, 0.6942], [0.9010, 0.9728, 0.6972], [0.0824, 0.1878, 0.6916], [0.5843, 0.2007, 0.6957], [0.0089, 0.8285, 0.6938], [0.5162, 0.8404, 0.6902], [0.3979, 0.8235, 0.1981], [0.9050, 0.8340, 0.1943], [0.0154, 0.1915, 0.1912], [0.5087, 0.1842, 0.1936], [0.0840, 0.9681, 0.1961], [0.5837, 0.9794, 0.1920], [0.4536, 0.3647, 0.6476], [0.9520, 0.3638, 0.6351], [0.2300, 0.0968, 0.6351], [0.7312, 0.1035, 0.6354], [0.3166, 0.5415, 0.6370], [0.8167, 0.5440, 0.6474], [0.4550, 0.5289, 0.1435], [0.9537, 0.5422, 0.1476], [0.3087, 0.0811, 0.1476], [0.8194, 0.0950, 0.1374], [0.2295, 0.3576, 0.1362], [0.7314, 0.3625, 0.1345], [0.2273, 0.3108, 0.0302], [0.7291, 0.3142, 0.0288], [0.4207, 0.5290, 0.0276], [0.9143, 0.5174, 0.0313], [0.3433, 0.1714, 0.0322], [0.8404, 0.1483, 0.0320], [0.2253, 0.1380, 0.5293], [0.7318, 0.1490, 0.5303], [0.3379, 0.5310, 0.5317], [0.8444, 0.5190, 0.5312], [0.4140, 0.3113, 0.5312], [0.9308, 0.3163, 0.5295], [0.2596, 0.6870, 0.9695], [0.7631, 0.6922, 0.9715], [0.0828, 0.4670, 0.9734], [0.5827, 0.4772, 0.9713], [0.1548, 0.8380, 0.9717], [0.6570, 0.8397, 0.9716], [0.2612, 0.8348, 0.4709], [0.7600, 0.8308, 0.4703], [0.1570, 0.4758, 0.4732], [0.6549, 0.4708, 0.4719], [0.0820, 0.6845, 0.4723], [0.5833, 0.6972, 0.4736], [0.0661, 0.6352, 0.3588], [0.5687, 0.6354, 0.3594], [0.2518, 0.8649, 0.3564], [0.7520, 0.8748, 0.3560], [0.1828, 0.5000, 0.3606], [0.6844, 0.5031, 0.3580], [0.0679, 0.5012, 0.8592], [0.5667, 0.4954, 0.8580], [0.1833, 0.8651, 0.8586], [0.6832, 0.8670, 0.8594], [0.2518, 0.6332, 0.8555], [0.7523, 0.6403, 0.8560], [0.0109, 0.8346, 0.4142], [0.5086, 0.8303, 0.4102], [0.4056, 0.9734, 0.4104], [0.9052, 0.9812, 0.4113], [0.0837, 0.1896, 0.4131], [0.5855, 0.1912, 0.4110], [0.0082, 0.1866, 0.9091], [0.5113, 0.1859, 0.9133], [0.0862, 0.9797, 0.9105], [0.5842, 0.9784, 0.9116], [0.4048, 0.8281, 0.9102], [0.9058, 0.8373, 0.9085], [0.4895, 0.1531, 0.5867], [0.9949, 0.1806, 0.5836], [0.0952, 0.0143, 0.5848], [0.5982, 0.0239, 0.5826], [0.4109, 0.8027, 0.5822], [0.9227, 0.8284, 0.5888], [0.4933, 0.8245, 0.0886], [0.9894, 0.8249, 0.0873], [0.4217, 0.0251, 0.0901], [0.9138, 0.0237, 0.0826], [0.0955, 0.1717, 0.0844], [0.5978, 0.1790, 0.0827], [0.3498, 0.1643, 0.7536], [0.8459, 0.1386, 0.7462], [0.2341, 0.3211, 0.7514], [0.7376, 0.3153, 0.7547], [0.4226, 0.5408, 0.7496], [0.9185, 0.5300, 0.7537], [0.3425, 0.5495, 0.2496], [0.8505, 0.5366, 0.2535], [0.4176, 0.2982, 0.2554], [0.9223, 0.3044, 0.2508], [0.2374, 0.1602, 0.2553], [0.7347, 0.1479, 0.2519], [0.3179, 0.4903, 0.9271], [0.8209, 0.4994, 0.9251], [0.4282, 0.3604, 0.9234], [0.9288, 0.3626, 0.9260], [0.2548, 0.1495, 0.9257], [0.7545, 0.1501, 0.9284], [0.3203, 0.1421, 0.4258], [0.8201, 0.1458, 0.4314], [0.2541, 0.3597, 0.4296], [0.7526, 0.3596, 0.4252], [0.4294, 0.4961, 0.4264], [0.9282, 0.4942, 0.4264], [0.1693, 0.4805, 0.0738], [0.6724, 0.4865, 0.0720], [0.0770, 0.6589, 0.0701], [0.5823, 0.6645, 0.0702], [0.2549, 0.8401, 0.0692], [0.7598, 0.8580, 0.0719], [0.1682, 0.8527, 0.5727], [0.6714, 0.8614, 0.5728], [0.2565, 0.6587, 0.5721], [0.7547, 0.6688, 0.5704], [0.0741, 0.4898, 0.5730], [0.5770, 0.4947, 0.5700], [0.1475, 0.8152, 0.2582], [0.6434, 0.8116, 0.2553], [0.2720, 0.7199, 0.2548], [0.7632, 0.7168, 0.2544], [0.0935, 0.4797, 0.2558], [0.5922, 0.4716, 0.2566], [0.1424, 0.4755, 0.7550], [0.6492, 0.4817, 0.7570], [0.0935, 0.7147, 0.7556], [0.5940, 0.7068, 0.7548], [0.2632, 0.8094, 0.7539], [0.7733, 0.8263, 0.7522]]}

2.
{"formula": "Na30Ca20Nb4Si9S27O144", "functional": "GGA-PBE", "state": "relaxed", "corrected_energy_ev_per_fu": -1587.4, "delta_e_f_ev_per_atom": -2.54, "cell": [[-1.0555, -17.7303, -5.9357], [5.6596, 2.2458, 7.1322], [-17.3860, -3.9366, 15.0445]], "species": ["Na", "Na", "Na", "Na", "Na", "Na", "Na", "Na", "Na", "Na", "Na", "Na", "Na", "Na", "Na", "Na", "Na", "Na", "Na", "Na", "Na", "Na", "Na", "Na", "Na", "Na", "Na", "Na", "Na", "Na", "Ca", "Ca", "Ca", "Ca", "Ca", "Ca", "Ca", "Ca", "Ca", "Ca", "Ca", "Ca", "Ca", "Ca", "Ca", "Ca", "Ca", "Ca", "Ca", "Ca", "Nb", "Nb", "Nb", "Nb", "Si", "Si", "Si", "Si", "Si", "Si", "Si", "Si", "Si", "S", "S", "S", "S", "S", "S", "S", "S", "S", "S", "S", "S", "S", "S", "S", "S", "S", "S", "S", "S", "S", "S", "S", "S", "S", "S", "S", "O", "O", "O", "O", "O", "O", "O", "O", "O", "O", "O", "O", "O", "O", "O", "O", "O", "O", "O", "O", "O", "O", "O", "O", "O", "O", "O", "O", "O", "O", "O", "O", "O", "O", "O", "O", "O", "O", "O", "O", "O", "O", "O", "O", "O", "O", "O", "O", "O", "O", "O", "O", "O", "O", "O", "O", "O", "O", "O", "O", "O", "O", "O", "O", "O", "O", "O", "O", "O", "O", "O", "O", "O", "O", "O", "O", "O", "O", "O", "O", "O", "O", "O", "O", "O", "O", "O", "O", "O", "O", "O", "O", "O", "O", "O", "O", "O", "O", "O", "O", "O", "O", "O", "O", "O", "O", "O", "O", "O", "O", "O", "O", "O", "O", "O", "O", "O", "O", "O", "O", "O", "O", "O", "O", "O", "O", "O", "O", "O", "O", "O", "O", "O", "O", "O", "O", "O", "O", "O", "O", "O", "O", "O", "O"], "fractional_positions": [[0.8092, 0.0037, 0.2348], [0.0023, 0.6325, 0.2381], [0.5020, 0.6290, 0.2354], [0.0018, 0.3705, 0.7336], [0.5007, 0.3728, 0.7353], [0.1813, 0.0117, 0.7509], [0.6615, 0.3469, 0.5842], [0.6698, 0.9750, 0.0892], [0.8356, 0.6860, 0.0780], [0.0073, 0.3403, 0.0842], [0.4816, 0.6596, 0.9294], [0.8496, 0.0357, 0.9297], [0.1644, 0.2965, 0.9079], [0.6642, 0.3004, 0.9056], [0.4805, 0.3021, 0.4289], [0.9863, 0.3066, 0.4307], [0.1648, 0.0295, 0.4062], [0.6635, 0.0288, 0.4064], [0.9894, 0.9892, 0.5026], [0.4757, 0.9645, 0.5011], [0.0020, 0.9692, 0.9993], [0.4763, 0.9882, 0.0032], [0.3227, 0.3364, 0.8281], [0.8225, 0.3483, 0.8230], [0.3109, 0.3074, 0.3243], [0.8151, 0.3297, 0.3273], [0.1699, 0.7051, 0.1632], [0.6576, 0.6688, 0.1603], [0.1628, 0.6260, 0.6601], [0.6623, 0.6538, 0.6646], [0.0039, 0.9999, 0.3498], [0.4990, 0.9985, 0.3492], [0.0016, 0.9932, 0.8498], [0.5003, 0.0031, 0.8479], [0.3339, 0.3417, 0.6785], [0.8320, 0.3329, 0.6822], [0.3296, 0.3261, 0.1812], [0.8297, 0.3267, 0.1815], [0.3383, 0.3344, 0.9925], [0.8433, 0.3453, 0.9902], [0.3369, 0.3391, 0.4921], [0.8409, 0.3390, 0.4908], [0.1679, 0.6772, 0.0175], [0.6610, 0.6644, 0.0204], [0.1656, 0.6609, 0.5208], [0.6656, 0.6674, 0.5192], [0.1717, 0.6768, 0.3102], [0.6669, 0.6636, 0.3120], [0.1693, 0.6600, 0.8121], [0.6688, 0.6636, 0.8083], [0.0048, 0.0161, 0.6490], [0.5026, 0.0110, 0.6506], [0.0087, 0.0001, 0.1488], [0.5029, 0.9943, 0.1517], [0.1526, 0.0007, 0.2551], [0.6509, 0.9997, 0.2553], [0.1514, 0.2991, 0.7538], [0.6519, 0.3043, 0.7541], [0.4891, 0.3390, 0.5861], [0.9885, 0.3399, 0.5861], [0.4860, 0.6389, 0.0866], [0.9861, 0.6360, 0.0906], [0.8376, 0.0245, 0.0851], [0.3546, 0.7092, 0.2467], [0.8560, 0.7144, 0.2462], [0.0002, 0.2939, 0.2494], [0.5001, 0.2946, 0.2492], [0.0016, 0.7079, 0.7474], [0.4995, 0.7058, 0.7496], [0.3530, 0.9996, 0.7461], [0.8562, 0.9997, 0.7485], [0.1749, 0.0270, 0.5865], [0.6755, 0.0311, 0.5847], [0.3398, 0.6519, 0.5862], [0.8388, 0.6470, 0.5856], [0.3402, 0.0296, 0.0869], [0.1779, 0.3267, 0.0830], [0.6753, 0.3194, 0.0835], [0.3171, 0.6598, 0.9175], [0.8138, 0.6628, 0.9185], [0.0149, 0.3620, 0.9158], [0.5159, 0.3682, 0.9141], [0.1692, 0.9767, 0.9145], [0.6670, 0.9684, 0.9173], [0.3161, 0.9725, 0.4182], [0.8161, 0.9726, 0.4151], [0.1663, 0.3653, 0.4163], [0.6662, 0.3624, 0.4189], [0.0170, 0.6630, 0.4149], [0.5161, 0.6639, 0.4150], [0.1128, 0.0057, 0.3161], [0.6082, 0.0045, 0.3144], [0.3997, 0.7900, 0.2994], [0.9032, 0.7954, 0.2977], [0.4946, 0.2119, 0.3042], [0.9919, 0.1996, 0.3019], [0.1105, 0.2006, 0.8126], [0.6101, 0.2144, 0.8139], [0.4938, 0.7771, 0.8045], [0.9910, 0.7783, 0.8006], [0.3982, 0.0108, 0.7988], [0.8978, 0.0073, 0.8031], [0.3999, 0.9843, 0.6955], [0.9068, 0.9877, 0.6993], [0.0841, 0.1668, 0.6991], [0.5822, 0.1650, 0.6996], [0.0027, 0.8075, 0.6969], [0.4983, 0.8085, 0.7004], [0.4049, 0.8213, 0.1962], [0.9017, 0.8162, 0.1937], [0.0024, 0.2004, 0.1974], [0.5000, 0.1891, 0.2002], [0.0842, 0.0046, 0.2027], [0.5859, 0.0001, 0.1989], [0.4450, 0.3514, 0.6431], [0.9413, 0.3458, 0.6424], [0.2230, 0.1094, 0.6382], [0.7265, 0.1190, 0.6338], [0.3258, 0.5471, 0.6361], [0.8223, 0.5350, 0.6342], [0.4415, 0.5365, 0.1430], [0.9463, 0.5376, 0.1491], [0.3269, 0.1089, 0.1356], [0.8127, 0.1039, 0.1378], [0.2292, 0.3462, 0.1319], [0.7289, 0.3439, 0.1328], [0.2079, 0.2931, 0.0288], [0.7067, 0.2803, 0.0307], [0.4374, 0.5775, 0.0258], [0.9195, 0.5753, 0.0383], [0.3542, 0.1229, 0.0327], [0.8612, 0.1394, 0.0272], [0.2087, 0.1288, 0.5344], [0.7065, 0.1311, 0.5313], [0.3539, 0.5832, 0.5333], [0.8531, 0.5794, 0.5324], [0.4391, 0.3022, 0.5260], [0.9385, 0.2982, 0.5255], [0.2766, 0.6729, 0.9693], [0.7753, 0.6756, 0.9723], [0.0632, 0.4467, 0.9679], [0.5690, 0.4549, 0.9638], [0.1678, 0.8786, 0.9639], [0.6624, 0.8799, 0.9711], [0.2764, 0.8778, 0.4700], [0.7733, 0.8727, 0.4655], [0.1626, 0.4533, 0.4674], [0.6638, 0.4455, 0.4725], [0.0701, 0.6800, 0.4644], [0.5705, 0.6832, 0.4642], [0.0547, 0.6471, 0.3611], [0.5543, 0.6477, 0.3612], [0.2700, 0.8879, 0.3658], [0.7716, 0.8905, 0.3611], [0.1727, 0.4560, 0.3633], [0.6727, 0.4608, 0.3679], [0.0573, 0.4548, 0.8636], [0.5546, 0.4614, 0.8606], [0.1720, 0.8999, 0.8592], [0.6750, 0.8816, 0.8673], [0.2703, 0.6523, 0.8652], [0.7628, 0.6519, 0.8682], [0.0077, 0.8124, 0.4151], [0.5076, 0.8141, 0.4148], [0.4037, 0.0063, 0.4165], [0.9032, 0.0068, 0.4147], [0.0865, 0.1995, 0.4170], [0.5865, 0.1985, 0.4180], [0.0063, 0.1928, 0.9159], [0.5064, 0.1999, 0.9136], [0.0932, 0.9928, 0.9182], [0.5896, 0.9789, 0.9150], [0.4042, 0.8018, 0.9160], [0.8970, 0.8151, 0.9155], [0.4966, 0.1574, 0.5994], [0.9946, 0.1555, 0.5989], [0.0873, 0.0036, 0.5934], [0.5893, 0.0128, 0.5930], [0.4192, 0.8183, 0.5950], [0.9144, 0.8138, 0.5956], [0.4955, 0.8377, 0.0994], [0.0038, 0.8350, 0.1011], [0.4190, 0.0201, 0.0954], [0.9251, 0.0177, 0.1000], [0.0906, 0.1749, 0.0916], [0.5904, 0.1679, 0.0934], [0.3482, 0.1524, 0.7413], [0.8540, 0.1544, 0.7435], [0.2382, 0.3029, 0.7455], [0.7412, 0.3238, 0.7458], [0.4283, 0.5340, 0.7463], [0.9345, 0.5335, 0.7435], [0.3517, 0.5501, 0.2417], [0.8458, 0.5482, 0.2428], [0.4297, 0.3237, 0.2452], [0.9254, 0.3122, 0.2464], [0.2419, 0.1607, 0.2466], [0.7428, 0.1568, 0.2497], [0.3209, 0.5023, 0.9181], [0.8194, 0.5089, 0.9184], [0.4336, 0.3573, 0.9190], [0.9297, 0.3379, 0.9168], [0.2423, 0.1487, 0.9166], [0.7405, 0.1401, 0.9189], [0.3201, 0.1381, 0.4194], [0.8183, 0.1362, 0.4172], [0.2363, 0.3307, 0.4194], [0.7365, 0.3293, 0.4195], [0.4339, 0.5115, 0.4204], [0.9340, 0.5096, 0.4195], [0.1622, 0.4662, 0.0782], [0.6654, 0.4640, 0.0774], [0.0735, 0.6444, 0.0801], [0.5833, 0.6946, 0.0848], [0.2703, 0.8577, 0.0818], [0.7640, 0.8330, 0.0790], [0.1645, 0.8620, 0.5813], [0.6641, 0.8653, 0.5797], [0.2717, 0.6870, 0.5809], [0.7660, 0.6699, 0.5800], [0.0835, 0.4842, 0.5846], [0.5868, 0.4786, 0.5840], [0.1448, 0.8209, 0.2435], [0.6496, 0.8250, 0.2437], [0.2726, 0.6925, 0.2431], [0.7746, 0.7072, 0.2449], [0.0750, 0.4590, 0.2486], [0.5783, 0.4569, 0.2450], [0.1459, 0.4656, 0.7453], [0.6433, 0.4671, 0.7417], [0.0831, 0.7127, 0.7472], [0.5771, 0.6989, 0.7453], [0.2684, 0.8554, 0.7447], [0.7731, 0.8531, 0.7443]]}